[1]
Compound: Nb4CrC2S4
Source: the Materials Project database
Functional: PBE
Structure: relaxed

Properties
formation energy from the elements = -0.9925 eV/atom
volume = 15.02 A^3/atom
ρ = 5.79 Mg/m³
symmetry = No. 10

Cell: 3.3409 5.7812 8.7535 Å, 77.73 90.00 90.00°
Last column: nearest neighbours and their distance in Å.
Atoms (fractional coordinates):
C 0.5000 0.0000 0.5000  6 Nb 2.21-2.22
C 0.0000 0.5000 0.5000  6 Nb 2.25-2.26
S 0.0000 0.2752 0.1689  1 Cr 2.39, 3 Nb 2.55
S 0.0000 0.7248 0.8311  1 Cr 2.39, 3 Nb 2.55
S 0.5000 0.7729 0.1635  2 Cr 2.40, 3 Nb 2.61-2.62
S 0.5000 0.2271 0.8365  2 Cr 2.40, 3 Nb 2.61-2.62
Cr 0.0000 0.0000 0.0000  6 S 2.39-2.40
Nb 0.5000 0.3711 0.3666  3 C 2.21-2.25
Nb 0.0000 0.8816 0.3671  3 C 2.22-2.26
Nb 0.5000 0.6289 0.6334  3 C 2.21-2.25
Nb 0.0000 0.1184 0.6329  3 C 2.22-2.26

=====

[2]
Compound: Cr3PC
Source: the Materials Project database
Functional: PBE
Structure: relaxed

Properties
formation energy from the elements = -0.2443 eV/atom
volume = 10.58 A^3/atom
ρ = 6.25 Mg/m³
symmetry = No. 63

Cell: 5.1210 5.1210 7.2582 Å, 90.00 90.00 146.25°
Last column: nearest neighbours and their distance in Å.
Atoms (fractional coordinates):
P 0.7434 0.2566 0.7500  8 Cr 2.33-2.48
P 0.2566 0.7434 0.2500  8 Cr 2.33-2.48
Cr 0.6295 0.3705 0.4445  2 C 2.00
Cr 0.6295 0.3705 0.0555  2 C 2.00
Cr 0.3705 0.6295 0.9445  2 C 2.00
Cr 0.0599 0.9401 0.7500  2 C 1.91
Cr 0.3705 0.6295 0.5555  2 C 2.00
Cr 0.9401 0.0599 0.2500  2 C 1.91
C 0.0000 0.0000 0.0000  6 Cr 1.91-2.00
C 0.0000 0.0000 0.5000  6 Cr 1.91-2.00